# EuZnSi (PBE, optimized geometry)
data_EuZnSi
_cell_length_a 4.2717
_cell_length_b 4.2717
_cell_length_c 8.4353
_cell_angle_alpha 90.00
_cell_angle_beta 90.00
_cell_angle_gamma 120.00
_symmetry_space_group_name_H-M 'P 63/m m c'
_symmetry_Int_Tables_number 194
_symmetry_space_group_name_Hall '-P 6c 2c'
loop_
_atom_site_label
_atom_site_type_symbol
_atom_site_fract_x
_atom_site_fract_y
_atom_site_fract_z
Eu1 Eu 0.0000 0.0000 0.0000
Zn1 Zn 0.3333 0.6667 0.2500
Si1 Si 0.3333 0.6667 0.7500
# - Energy of formation: -11.1 kcal/mol of atoms
# - Volume: 133 Å³/cell